Record 1
UCuSi | PBE | optimized geometry

abc: 4.2306 4.2306 7.6675
angles: 90.00 90.00 120.00
With the nearest neighbours (Å) after each atom.
Element x y z (fractional)
Si  0.6667  0.3333  0.2500  3 Cu 2.44
Si  0.3333  0.6667  0.7500  3 Cu 2.44
U  0.0000  0.0000  0.0000  6 Cu 3.10, 6 Si 3.10
U  0.0000  0.0000  0.5000  6 Cu 3.10, 6 Si 3.10
Cu  0.6667  0.3333  0.7500  3 Si 2.44
Cu  0.3333  0.6667  0.2500  3 Si 2.44

Values from the calculation:
- DFT formation energy: -0.10 eV per atom

Record 2
NaSi6 | PBE | optimized geometry

abc: 5.6743 5.6743 12.2348
angles: 90.00 90.00 136.76
With the nearest neighbours (Å) after each atom.
Element x y z (fractional)
Na  0.7156  0.2844  0.2500  14 Si 3.19-3.45
Si  0.5647  0.4353  0.6527  4 Si 2.38-2.41
Si  0.0264  0.9736  0.4046  4 Si 2.38-2.41
Si  0.7550  0.2450  0.5476  4 Si 2.38-2.40
Si  0.9736  0.0264  0.9046  4 Si 2.38-2.41
Si  0.7550  0.2450  0.9524  4 Si 2.38-2.40
Si  0.9736  0.0264  0.5954  4 Si 2.38-2.41
Si  0.2450  0.7550  0.4524  4 Si 2.38-2.40
Na  0.2844  0.7156  0.7500  14 Si 3.19-3.45
Si  0.2450  0.7550  0.0476  4 Si 2.38-2.40
Si  0.5647  0.4353  0.8473  4 Si 2.38-2.41
Si  0.4353  0.5647  0.1527  4 Si 2.38-2.41
Si  0.0264  0.9736  0.0954  4 Si 2.38-2.41
Si  0.4353  0.5647  0.3473  4 Si 2.38-2.41

Values from the calculation:
- DFT formation energy: 0.10 eV per atom

Record 3
LaGa3Cu | PBE | optimized geometry

abc: 6.1112 6.1112 6.1112
angles: 139.12 139.12 59.20
With the nearest neighbours (Å) after each atom.
Element x y z (fractional)
Ga  0.3809  0.3809  0.0000  3 Ga 2.53-2.55, 2 Cu 2.55
Ga  0.7500  0.2500  0.5000  4 Ga 2.55
Cu  0.2500  0.7500  0.5000  4 Ga 2.55
La  0.0000  0.0000  0.0000  12 Ga 3.27-3.41, 4 Cu 3.41
Ga  0.6191  0.6191  0.0000  3 Ga 2.53-2.55, 2 Cu 2.55

Values from the calculation:
- DFT formation energy: -0.53 eV per atom

Record 4
NbFe6Ge6 | PBE | optimized geometry

abc: 5.0350 5.0350 8.0829
angles: 90.00 90.00 120.00
With the nearest neighbours (Å) after each atom.
Element x y z (fractional)
Fe  0.0000  0.5000  0.7507  6 Ge 2.48-2.62, 4 Fe 2.52
Ge  0.3333  0.6667  0.5000  6 Fe 2.49
Ge  0.6667  0.3333  0.0000  6 Fe 2.48
Ge  0.0000  0.0000  0.3374  6 Fe 2.62, 1 Ge 2.63, 1 Nb 2.73
Fe  0.5000  0.0000  0.7507  6 Ge 2.48-2.62, 4 Fe 2.52
Fe  0.5000  0.0000  0.2493  6 Ge 2.48-2.62, 4 Fe 2.52
Ge  0.6667  0.3333  0.5000  6 Fe 2.49
Fe  0.0000  0.5000  0.2493  6 Ge 2.48-2.62, 4 Fe 2.52
Fe  0.5000  0.5000  0.7507  6 Ge 2.48-2.62, 4 Fe 2.52
Fe  0.5000  0.5000  0.2493  6 Ge 2.48-2.62, 4 Fe 2.52
Ge  0.0000  0.0000  0.6626  6 Fe 2.62, 1 Ge 2.63, 1 Nb 2.73
Nb  0.0000  0.0000  0.0000  8 Ge 2.73-2.91
Ge  0.3333  0.6667  0.0000  6 Fe 2.48

Values from the calculation:
- DFT formation energy: -0.16 eV per atom

Look up the DFT formation energy of the third one.
-0.53 eV per atom

Which value of DFT formation energy does entry 2 give?
0.10 eV per atom